# SmB2Ru3

SmB2Ru3 after structural relaxation (meta-GGA r2SCAN, the Materials Project).

a = 5.514 Å, b = 5.514 Å, c = 3.027 Å
α = 90.00°, β = 90.00°, γ = 120.00°
Fractional positions:
B1 0.667 0.333 0.000
Ru1 0.500 0.000 0.500
Ru2 0.500 0.500 0.500
Sm1 0.000 0.000 0.000
B2 0.333 0.667 0.000
Ru3 0.000 0.500 0.500

Calculated values
Mass density (kg/m³): 9897
Space group: No. 191
Formation energy from the elements (eV per formula unit): -2.878